(1)
Below is a geometry-optimized Ba4Sr2Nd2Co4O15 structure, with properties calculated at the PBE with a Hubbard U level.

The structure in extended XYZ format:
```
54
Lattice="10.2248 5.9043 0.0000 -10.2248 5.9043 0.0000 0.0000 0.0637 6.9314" Properties=species:S:1:pos:R:3 pbc="T T T"
Ba 6.6686 5.9148 2.2869
Ba 1.7592 8.7930 2.2837
Ba 1.7521 3.0875 2.3209
Ba -6.6686 5.9466 5.7526
Ba -1.7521 3.1194 5.7866
Ba -1.7592 8.8248 5.7494
Ba 3.3938 5.8865 0.0645
Ba -3.3938 5.9183 3.5302
Sr -0.0023 0.0343 3.5534
Sr 0.0023 0.0025 0.0877
Sr 4.8681 3.4447 4.6441
Sr -4.8681 3.4129 1.1783
Nd 0.4903 5.9501 4.6183
Nd 4.8493 8.4790 4.6405
Nd -0.4903 5.9182 1.1526
Nd -4.8493 8.4472 1.1748
Co 3.4111 5.9260 3.2224
Co -3.4111 5.9578 6.6881
Co 6.6510 5.9690 5.8143
Co 1.7851 8.7846 5.7951
Co 1.8216 3.1358 5.8327
Co -6.6510 5.9371 2.3486
Co -1.8216 3.1039 2.3670
Co -1.7851 8.7528 2.3293
O -6.2474 4.3564 3.3453
O -0.6367 4.3324 3.2486
O -3.3613 9.1107 3.1851
O -3.3386 2.7252 3.3329
O -6.1995 7.4894 3.2261
O -0.6154 7.5338 3.2193
O 6.1995 7.5212 6.6918
O 0.6154 7.5657 6.6850
O 3.3386 2.7571 6.7986
O 3.3613 9.1426 6.6508
O 6.2474 4.3883 6.8110
O 0.6367 4.3643 6.7143
O 1.6823 5.9092 2.2927
O 4.2367 4.4533 2.2597
O 4.2215 7.3659 2.3785
O -1.6823 5.9411 5.7585
O -4.2215 7.3978 5.8442
O -4.2367 4.4852 5.7254
O -8.3698 5.8375 1.7411
O -0.9024 1.6642 1.7417
O -0.8576 10.2045 1.7602
O 8.3698 5.8693 5.2068
O 0.8576 10.2364 5.2260
O 0.9024 1.6961 5.2075
O 5.1655 6.0038 4.6066
O 2.4960 7.4603 4.5940
O 2.4776 4.4924 4.6144
O -5.1655 5.9720 1.1408
O -2.4776 4.4606 1.1487
O -2.4960 7.4285 1.1282
```

crystal system	monoclinic
spin magnetization	11.999	μB/f.u.
symmetry	No. 9



(2)
Below is a geometry-optimized BaCo4O7 structure, with properties calculated at the PBE with a Hubbard U level.

The structure in extended XYZ format:
```
24
Lattice="3.1813 -5.5101 0.0000 3.1813 5.5101 0.0000 0.0000 0.0000 10.1390" Properties=species:S:1:pos:R:3 pbc="T T T"
Ba 3.1813 -1.8367 5.0332
Ba 3.1813 1.8367 10.1027
Co 3.1813 -3.6022 1.8979
Co 4.7102 0.9540 6.9674
Co 1.6523 0.9540 6.9674
Co 4.7102 -0.9540 1.8979
Co 1.6523 -0.9540 1.8979
Co 3.1813 3.6022 6.9674
Co 0.0000 0.0000 4.4411
Co 0.0000 0.0000 9.5105
O 3.1813 -3.8603 0.1331
O 4.9338 0.8249 5.2025
O 1.4288 0.8249 5.2025
O 4.9338 -0.8249 0.1331
O 1.4288 -0.8249 0.1331
O 3.1813 3.8603 5.2025
O 0.0000 0.0000 7.6102
O 0.0000 0.0000 2.5407
O 3.1813 -0.1751 2.5959
O 1.7423 2.6675 7.6654
O 4.6202 2.6675 7.6654
O 1.7423 -2.6675 2.5959
O 3.1813 0.1751 7.6654
O 4.6202 -2.6675 2.5959
```

crystal system	hexagonal
spin magnetization	8.000	μB/f.u.
symmetry	No. 186



(3)
Below is a geometry-optimized BaCoO3 structure, with properties calculated at the PBE with a Hubbard U level.

The structure in extended XYZ format:
```
20
Lattice="1.2989 4.5488 -0.6562 -1.7881 1.3116 5.2979 9.0436 -2.0674 3.6130" Properties=species:S:1:pos:R:3 pbc="T T T"
Ba 0.6220 0.3102 3.2461
Ba 4.2464 -0.0632 7.6974
Ba 3.6586 1.5817 0.8855
Ba 7.2831 1.2083 5.3368
Co 7.5805 0.3821 8.7468
Co 8.2296 2.6551 8.4189
Co 3.9524 0.7594 4.2914
Co 4.6019 3.0336 3.9634
O 3.3567 -0.5054 2.9982
O 6.9843 -0.8880 7.4830
O -0.0735 3.1496 4.0701
O 5.3207 1.4378 3.2373
O 2.5844 0.0807 5.3455
O 9.2772 2.9178 3.8567
O -0.4378 1.0038 5.8322
O 4.9736 -0.6737 4.9928
O 2.9315 2.1922 3.5901
O 8.3430 0.5147 2.7508
O 0.9207 2.4065 1.0996
O 4.5484 2.0239 5.5847
```

crystal system	triclinic
symmetry	No. 2



(4)
Below is a geometry-optimized Ba8Co7O19 structure, with properties calculated at the PBE with a Hubbard U level.

The structure in extended XYZ format:
```
68
Lattice="0.0000 9.1655 10.3680 5.7841 0.0000 10.3680 5.7841 9.1655 0.0000" Properties=species:S:1:pos:R:3 pbc="T T T"
Ba 5.7841 9.1655 1.4216
Ba 5.9466 4.6509 12.2912
Ba 5.5649 2.6921 8.6626
Ba 5.8165 6.9443 8.5887
Ba 2.8920 4.5828 6.6056
Ba 2.6728 1.8906 3.4786
Ba 2.7295 9.2336 7.1072
Ba 8.6436 11.5271 13.7726
Ba 3.1112 7.2749 3.4786
Ba 8.6761 13.7483 17.2500
Ba 8.8387 9.0974 7.1072
Ba 8.7086 15.9695 13.7726
Ba 5.6215 13.6802 12.2912
Ba 5.7516 11.3868 8.5887
Ba 6.0033 15.6389 8.6626
Ba 5.7841 9.1655 12.0660
Co 2.8920 4.5828 10.1017
Co 5.5916 11.8612 5.3559
Co 5.9765 6.4699 5.3559
Co 5.7841 9.1655 4.9178
Co 3.0844 7.2784 10.5398
Co 2.7952 9.8586 10.2834
Co 2.6352 12.6070 10.2657
Co 8.4837 11.0527 10.5398
Co 8.9329 5.7241 10.2657
Co 8.7730 8.4724 10.2834
Co 5.8809 5.2759 15.4674
Co 6.0408 8.0242 15.4496
Co 5.5273 10.3069 15.4496
Co 5.6872 13.0552 15.4674
O 4.7672 7.9667 6.0194
O 9.6930 12.5495 11.2034
O 6.0755 7.7645 3.6731
O 5.4926 10.5666 3.6731
O 5.7638 4.8820 6.8136
O 6.8009 10.3644 6.0194
O 1.2220 3.8207 4.4430
O 1.7940 2.1362 0.8879
O 7.2546 9.0614 9.5159
O 1.6700 8.4034 9.6270
O 7.2783 4.8343 9.6319
O 7.6073 6.9595 5.9774
O 7.6592 14.9472 11.2034
O 7.2055 13.6441 14.6999
O 3.1835 5.9838 8.8571
O 2.5906 11.4190 8.8567
O 8.3846 12.3473 8.8571
O 2.8718 8.8663 11.9975
O 2.8920 4.5828 1.4135
O 8.6963 9.4647 11.9975
O 8.9775 6.9120 8.8567
O 4.5620 5.3449 4.4430
O 4.3135 9.2697 9.5159
O 4.2898 13.4967 9.6319
O 4.6861 2.4465 6.0719
O 3.9608 11.3716 5.9774
O 3.9900 7.0293 0.8879
O 9.8981 9.9277 9.6270
O 4.3862 8.9140 14.8159
O 10.1466 13.8525 14.6999
O 4.7153 6.7888 11.1614
O 5.8043 13.4491 6.8136
O 5.7841 9.1655 16.9654
O 6.0855 6.8363 14.0407
O 5.4826 11.4948 14.0407
O 1.0980 6.7190 6.0719
O 7.1819 9.4171 14.8159
O 6.8529 11.5422 11.1614
```

crystal system	orthorhombic
spin magnetization	15.000	μB/f.u.
distance to the lowest polymorph of the same formula	13	meV/atom
symmetry	No. 43



(5)
Below is a geometry-optimized Ba12Co11O33 structure, with properties calculated at the PBE with a Hubbard U level.

The structure in extended XYZ format:
```
112
Lattice="10.0254 5.7904 0.0000 -10.0254 5.7904 0.0000 0.0000 5.7268 13.6456" Properties=species:S:1:pos:R:3 pbc="T T T"
Ba -4.1954 4.4022 1.0982
Ba -4.1954 10.0421 5.7246
Ba 4.1954 12.9055 12.5474
Ba 4.1954 7.2655 7.9210
Ba 5.8219 10.1315 5.5954
Ba 5.8219 4.3127 1.2274
Ba -5.8219 7.1761 8.0502
Ba -5.8219 12.9949 12.4182
Ba -5.8201 7.2221 3.4114
Ba 5.8201 10.0855 10.2342
Ba 3.9797 7.2221 3.4114
Ba -3.9797 10.0855 10.2342
Ba 0.8774 12.9827 5.6835
Ba 0.8774 1.4615 1.1393
Ba -0.8774 4.3249 7.9621
Ba -0.8774 15.8461 12.5063
Ba -0.7432 4.5187 3.4347
Ba -0.7432 9.9255 3.3881
Ba 0.7432 12.7889 10.2109
Ba 0.7432 7.3821 10.2574
Ba 0.8212 7.2386 1.0014
Ba 0.8212 7.2056 5.8214
Ba -0.8212 10.0690 12.6441
Ba -0.8212 10.1020 7.8242
Co 7.5855 7.2221 3.4114
Co -7.5855 10.0855 10.2342
Co 7.5023 7.2460 0.7292
Co 7.5023 7.1982 6.0936
Co -7.5023 10.0616 12.9163
Co -7.5023 10.1094 7.5520
Co 2.5107 10.1322 1.8111
Co 2.5107 4.3120 5.0117
Co -2.5107 7.1754 11.8345
Co -2.5107 12.9956 8.6339
Co 2.5065 10.1179 4.2684
Co 2.5065 4.3263 2.5544
Co -2.5065 7.1897 9.3772
Co -2.5065 12.9813 11.0912
Co 2.5136 10.1144 6.6670
Co 2.5136 4.3299 0.1558
Co -2.5136 7.1933 6.9786
Co -2.5136 12.9778 13.4898
Co -2.5245 7.2165 4.6272
Co -2.5245 7.2277 2.1956
Co 2.5245 10.0911 9.0184
Co 2.5245 10.0799 11.4500
O 1.0772 10.1371 0.6018
O 1.0772 4.3071 6.2209
O -1.0772 7.1705 13.0437
O -1.0772 13.0005 7.4246
O 1.0347 10.1088 5.4675
O 1.0347 4.3355 1.3553
O -1.0347 7.1988 8.1780
O -1.0347 12.9722 12.2903
O -1.0516 7.2221 3.4114
O 1.0516 10.0855 10.2342
O 3.2312 8.9000 0.6433
O 3.2312 5.5442 6.1795
O -3.2312 8.4076 13.0022
O -3.2312 11.7634 7.4661
O 3.2308 5.5946 1.3398
O 3.2308 8.8496 5.4830
O -3.2308 11.7130 12.3058
O -3.2308 8.4580 8.1626
O -3.2592 5.9403 3.4022
O -3.2592 8.5040 3.4206
O 3.2592 11.3674 10.2434
O 3.2592 8.8036 10.2249
O 3.2466 11.3958 5.4451
O 3.2466 3.0484 1.3777
O -3.2466 5.9118 8.2005
O -3.2466 14.2592 12.2679
O -6.8066 5.5929 0.5521
O -6.8066 8.8514 6.2707
O 6.8066 11.7148 13.0935
O 6.8066 8.4563 7.3748
O 6.0577 7.2319 1.8801
O 6.0577 7.2123 4.9426
O -6.0577 10.0757 11.7654
O -6.0577 10.0953 8.7029
O 3.9770 10.1303 3.0674
O 3.9770 4.3139 3.7554
O -3.9770 7.1773 10.5781
O -3.9770 12.9937 9.8902
O -4.0103 7.1973 5.7758
O -4.0103 7.2469 1.0470
O 4.0103 10.1103 7.8698
O 4.0103 10.0607 12.5986
O -1.7862 2.7386 1.8205
O -1.7862 11.7057 5.0022
O 1.7862 14.5691 11.8250
O 1.7862 5.6019 8.6433
O -8.2302 8.8631 8.7901
O -8.2302 11.3079 11.6783
O 8.2302 8.4445 4.8555
O 8.2302 5.9997 1.9673
O 1.7890 11.3848 3.0463
O 1.7890 3.0595 3.7765
O -1.7890 5.9228 10.5992
O -1.7890 14.2482 9.8691
O -1.7764 5.9305 5.7875
O -1.7764 8.5137 1.0353
O 1.7764 11.3771 7.8580
O 1.7764 8.7939 12.6103
O -1.7639 5.9599 1.0370
O -1.7639 8.4844 5.7858
O 1.7639 11.3478 12.6086
O 1.7639 8.8233 7.8598
O 1.7746 8.8509 3.0488
O 1.7746 5.5933 3.7740
O -1.7746 8.4567 10.5968
O -1.7746 11.7143 9.8716
```

crystal system	monoclinic
spin magnetization	5.001	μB/f.u.
symmetry	No. 15



(6)
Below is a geometry-optimized BaCoO3 structure, with properties calculated at the PBE with a Hubbard U level.

The structure in extended XYZ format:
```
20
Lattice="5.7265 0.0007 0.0146 2.8640 4.9544 0.0099 0.0237 0.0043 9.7076" Properties=species:S:1:pos:R:3 pbc="T T T"
Ba 2.8768 1.6543 4.8589
Ba 2.8615 1.6532 0.0090
Ba 5.7326 3.3047 2.4409
Ba 5.7439 3.3047 7.2986
Co 2.8810 4.9536 6.0772
Co 5.7401 0.0085 8.5102
Co 5.7275 0.0052 1.2306
Co 2.8791 4.9508 3.6464
O 7.3476 4.2316 4.8259
O 7.3581 4.2354 9.6797
O 4.4747 0.7256 2.4102
O 4.4847 0.7304 7.2827
O 4.1383 4.2284 4.8780
O 4.1177 4.2348 0.0388
O 5.7423 1.4508 4.9019
O 5.7254 1.4658 0.0445
O 2.8728 3.4911 2.4120
O 2.8784 3.5055 7.2528
O 1.2611 0.7300 2.4805
O 1.2741 0.7254 7.3342
```

crystal system	triclinic
spin magnetization	0.001	μB/f.u.
symmetry	No. 1



Number 1: formation energy -6703 kJ/mol of formula units, theoretical density 5908 kg/m3, calculated total energy -351.723 eV for the cell shown. Number 2: formation energy -1515 kJ/mol of formula units, theoretical density 4532 kg/m3, calculated total energy -138.667 eV for the cell shown. Number 3: formation energy -990 kJ/mol of formula units, theoretical density 5941 kg/m3, calculated total energy -121.746 eV for the cell shown. Number 4: formation energy -6756 kJ/mol of formula units, theoretical density 5484 kg/m3, calculated total energy -409.240 eV for the cell shown. Number 5: formation energy -11148 kJ/mol of formula units, theoretical density 5920 kg/m3, calculated total energy -678.714 eV for the cell shown. Number 6: formation energy -990 kJ/mol of formula units, theoretical density 5891 kg/m3, calculated total energy -121.725 eV for the cell shown.